Dy4Ni13C4: relaxed, PBE-GGA.

a = 8.384 Å, b = 8.384 Å, c = 3.863 Å
α = 90.00°, β = 90.00°, γ = 91.38°
Sites, in units of the cell vectors:
Dy1 0.812 0.188 0.500
Dy2 0.188 0.812 0.500
Dy3 0.652 0.652 0.500
Dy4 0.348 0.348 0.500
Ni1 0.500 0.000 0.500
Ni2 0.000 0.500 0.500
Ni3 0.000 0.000 0.000
Ni4 0.431 0.784 0.000
Ni5 0.569 0.216 0.000
Ni6 0.216 0.569 0.000
Ni7 0.784 0.431 0.000
Ni8 0.709 0.926 0.000
Ni9 0.291 0.074 0.000
Ni10 0.074 0.291 0.000
Ni11 0.926 0.709 0.000
Ni12 0.876 0.876 0.500
Ni13 0.124 0.124 0.500
C1 0.443 0.557 0.000
C2 0.557 0.443 0.000
C3 0.500 0.000 0.000
C4 0.000 0.500 0.000

## Properties
ρ: 8.9 g/cm3
symmetry: Cmmm (65)
ΔH_f (0 K): -0.3467 eV per atom